This record from Materials Project describes an optimized crystal structure of Ba4GdCu3O9. The functional is PBE-GGA.

Energy, eV per cell: -225.383
Density, Mg/m³: 6.3
Total moment, μB per formula unit: 6.3

a = 8.1975 Å, b = 8.1975 Å, c = 8.1975 Å
α = 90.00°, β = 90.00°, γ = 90.00°
Sites, in units of the cell vectors:
Ba 0.2500 0.2500 0.2500
Ba 0.2500 0.2500 0.7500
Ba 0.2500 0.7500 0.2500
Ba 0.2500 0.7500 0.7500
Ba 0.7500 0.2500 0.2500
Ba 0.7500 0.2500 0.7500
Ba 0.7500 0.7500 0.2500
Ba 0.7500 0.7500 0.7500
Gd 0.0000 0.0000 0.0000
Gd 0.5000 0.5000 0.5000
Cu 0.0000 0.0000 0.5000
Cu 0.0000 0.5000 0.0000
Cu 0.0000 0.5000 0.5000
Cu 0.5000 0.0000 0.0000
Cu 0.5000 0.0000 0.5000
Cu 0.5000 0.5000 0.0000
O 0.0000 0.0000 0.2742
O 0.0000 0.0000 0.7258
O 0.0000 0.2500 0.5000
O 0.0000 0.2742 0.0000
O 0.0000 0.7258 0.0000
O 0.0000 0.7500 0.5000
O 0.2258 0.5000 0.5000
O 0.2500 0.5000 0.0000
O 0.2742 0.0000 0.0000
O 0.5000 0.0000 0.2500
O 0.5000 0.0000 0.7500
O 0.5000 0.2258 0.5000
O 0.5000 0.5000 0.2258
O 0.5000 0.5000 0.7742
O 0.5000 0.7742 0.5000
O 0.7258 0.0000 0.0000
O 0.7500 0.5000 0.0000
O 0.7742 0.5000 0.5000